Record 1
## Rb2CdSi5O12 (PBE)

Data for a relaxed Rb2CdSi5O12 crystal.

Lattice parameters (Å, degrees): 13.622 13.893 14.125 90.00 90.00 90.00
Fractional positions:
Rb 0.125 0.128 0.145
Rb 0.125 0.372 0.645
Rb 0.134 0.623 0.879
Rb 0.134 0.877 0.379
Rb 0.366 0.123 0.879
Rb 0.366 0.377 0.379
Rb 0.375 0.628 0.145
Rb 0.375 0.872 0.645
Rb 0.625 0.128 0.355
Rb 0.625 0.372 0.855
Rb 0.634 0.623 0.621
Rb 0.634 0.877 0.121
Rb 0.866 0.123 0.621
Rb 0.866 0.377 0.121
Rb 0.875 0.628 0.355
Rb 0.875 0.872 0.855
Cd 0.113 0.162 0.439
Cd 0.113 0.338 0.939
Cd 0.387 0.662 0.439
Cd 0.387 0.838 0.939
Cd 0.613 0.162 0.061
Cd 0.613 0.338 0.561
Cd 0.887 0.662 0.061
Cd 0.887 0.838 0.561
Si 0.080 0.113 0.870
Si 0.080 0.387 0.370
Si 0.098 0.628 0.190
Si 0.098 0.872 0.690
Si 0.135 0.676 0.597
Si 0.135 0.824 0.097
Si 0.157 0.087 0.660
Si 0.157 0.413 0.160
Si 0.158 0.594 0.394
Si 0.158 0.906 0.894
Si 0.342 0.094 0.394
Si 0.342 0.406 0.894
Si 0.343 0.587 0.660
Si 0.343 0.913 0.160
Si 0.365 0.176 0.597
Si 0.365 0.324 0.097
Si 0.402 0.128 0.190
Si 0.402 0.372 0.690
Si 0.420 0.613 0.870
Si 0.420 0.887 0.370
Si 0.580 0.113 0.630
Si 0.580 0.387 0.130
Si 0.598 0.628 0.310
Si 0.598 0.872 0.810
Si 0.635 0.676 0.903
Si 0.635 0.824 0.403
Si 0.657 0.087 0.840
Si 0.657 0.413 0.340
Si 0.658 0.594 0.106
Si 0.658 0.906 0.606
Si 0.842 0.094 0.106
Si 0.842 0.406 0.606
Si 0.843 0.587 0.840
Si 0.843 0.913 0.340
Si 0.865 0.176 0.903
Si 0.865 0.324 0.403
Si 0.902 0.128 0.310
Si 0.902 0.372 0.810
Si 0.920 0.613 0.630
Si 0.920 0.887 0.130
O 0.018 0.118 0.323
O 0.018 0.382 0.823
O 0.038 0.635 0.651
O 0.038 0.865 0.151
O 0.080 0.133 0.589
O 0.080 0.367 0.089
O 0.081 0.503 0.399
O 0.081 0.997 0.899
O 0.127 0.659 0.300
O 0.127 0.667 0.482
O 0.127 0.833 0.982
O 0.127 0.841 0.800
O 0.128 0.180 0.949
O 0.128 0.320 0.449
O 0.139 0.127 0.769
O 0.139 0.373 0.269
O 0.150 0.710 0.120
O 0.150 0.790 0.620
O 0.162 0.532 0.163
O 0.162 0.968 0.663
O 0.227 0.615 0.638
O 0.227 0.885 0.138
O 0.230 0.062 0.396
O 0.230 0.438 0.896
O 0.270 0.562 0.396
O 0.270 0.938 0.896
O 0.273 0.115 0.638
O 0.273 0.385 0.138
O 0.338 0.032 0.163
O 0.338 0.468 0.663
O 0.350 0.210 0.120
O 0.350 0.290 0.620
O 0.361 0.627 0.769
O 0.361 0.873 0.269
O 0.372 0.680 0.949
O 0.372 0.820 0.449
O 0.373 0.159 0.300
O 0.373 0.167 0.482
O 0.373 0.333 0.982
O 0.373 0.341 0.800
O 0.419 0.003 0.399
O 0.419 0.497 0.899
O 0.420 0.633 0.589
O 0.420 0.867 0.089
O 0.462 0.135 0.651
O 0.462 0.365 0.151
O 0.482 0.618 0.323
O 0.482 0.882 0.823
O 0.518 0.118 0.177
O 0.518 0.382 0.677
O 0.538 0.635 0.849
O 0.538 0.865 0.349
O 0.580 0.133 0.911
O 0.580 0.367 0.411
O 0.581 0.503 0.101
O 0.581 0.997 0.601
O 0.627 0.659 0.200
O 0.627 0.667 0.018
O 0.627 0.833 0.518
O 0.627 0.841 0.700
O 0.628 0.180 0.551
O 0.628 0.320 0.051
O 0.639 0.127 0.731
O 0.639 0.373 0.231
O 0.650 0.710 0.380
O 0.650 0.790 0.880
O 0.662 0.532 0.337
O 0.662 0.968 0.837
O 0.727 0.615 0.862
O 0.727 0.885 0.362
O 0.730 0.062 0.104
O 0.730 0.438 0.604
O 0.770 0.562 0.104
O 0.770 0.938 0.604
O 0.773 0.115 0.862
O 0.773 0.385 0.362
O 0.838 0.032 0.337
O 0.838 0.468 0.837
O 0.850 0.210 0.380
O 0.850 0.290 0.880
O 0.861 0.627 0.731
O 0.861 0.873 0.231
O 0.872 0.680 0.551
O 0.872 0.820 0.051
O 0.873 0.159 0.200
O 0.873 0.167 0.018
O 0.873 0.333 0.518
O 0.873 0.341 0.700
O 0.919 0.003 0.101
O 0.919 0.497 0.601
O 0.920 0.633 0.911
O 0.920 0.867 0.411
O 0.962 0.135 0.849
O 0.962 0.365 0.349
O 0.982 0.618 0.177
O 0.982 0.882 0.677

Summary:
Crystal system: orthorhombic
Space-group type: Pbca

***

Record 2
## Cd2Re2O7 (PBE)

Data for a relaxed Cd2Re2O7 crystal.

Lattice parameters (Å, degrees): 7.342 7.342 7.342 60.00 60.00 60.00
Fractional positions:
Cd 0.000 0.000 0.000
Cd 0.000 0.000 0.500
Cd 0.000 0.500 0.000
Cd 0.500 0.000 0.000
Re 0.000 0.500 0.500
Re 0.500 0.000 0.500
Re 0.500 0.500 0.000
Re 0.500 0.500 0.500
O 0.125 0.125 0.125
O 0.186 0.186 0.564
O 0.186 0.564 0.186
O 0.186 0.564 0.564
O 0.436 0.436 0.814
O 0.436 0.814 0.436
O 0.436 0.814 0.814
O 0.564 0.186 0.186
O 0.564 0.186 0.564
O 0.564 0.564 0.186
O 0.814 0.436 0.436
O 0.814 0.436 0.814
O 0.814 0.814 0.436
O 0.875 0.875 0.875

Summary:
Crystal system: cubic
Space-group type: Fd-3m

***

Record 3
## Cd2Ru2O7 (PBE)

Data for a relaxed Cd2Ru2O7 crystal.

Lattice parameters (Å, degrees): 7.249 7.249 7.249 60.00 60.00 60.00
Fractional positions:
Cd 0.000 0.000 0.000
Cd 0.000 0.000 0.500
Cd 0.000 0.500 0.000
Cd 0.500 0.000 0.000
Ru 0.000 0.500 0.500
Ru 0.500 0.000 0.500
Ru 0.500 0.500 0.000
Ru 0.500 0.500 0.500
O 0.125 0.125 0.125
O 0.181 0.181 0.569
O 0.181 0.569 0.181
O 0.181 0.569 0.569
O 0.431 0.431 0.819
O 0.431 0.819 0.431
O 0.431 0.819 0.819
O 0.569 0.181 0.181
O 0.569 0.181 0.569
O 0.569 0.569 0.181
O 0.819 0.431 0.431
O 0.819 0.431 0.819
O 0.819 0.819 0.431
O 0.875 0.875 0.875

Summary:
Crystal system: cubic
Space-group type: Fd-3m

***

Record 4
## CdRuO3 (PBE)

Data for a relaxed CdRuO3 crystal.

Lattice parameters (Å, degrees): 3.928 3.928 3.928 90.00 90.00 90.00
Fractional positions:
Cd 0.000 0.000 0.000
Ru 0.500 0.500 0.500
O 0.000 0.500 0.500
O 0.500 0.000 0.500
O 0.500 0.500 0.000

Summary:
Crystal system: cubic
Space-group type: Pm-3m

***

Record 5
## CdSO5 (PBE)

Data for a relaxed CdSO5 crystal.

Lattice parameters (Å, degrees): 7.702 7.709 8.249 90.00 122.27 90.00
Fractional positions:
Cd 0.226 0.243 0.466
Cd 0.226 0.257 0.966
Cd 0.774 0.743 0.034
Cd 0.774 0.757 0.534
S 0.255 0.615 0.238
S 0.255 0.885 0.738
S 0.745 0.115 0.262
S 0.745 0.385 0.762
O 0.113 0.742 0.620
O 0.113 0.758 0.120
O 0.136 0.005 0.785
O 0.136 0.495 0.285
O 0.268 0.128 0.234
O 0.268 0.372 0.734
O 0.329 0.520 0.128
O 0.329 0.980 0.628
O 0.434 0.687 0.414
O 0.434 0.813 0.914
O 0.566 0.187 0.086
O 0.566 0.313 0.586
O 0.671 0.020 0.372
O 0.671 0.480 0.872
O 0.732 0.628 0.266
O 0.732 0.872 0.766
O 0.864 0.505 0.715
O 0.864 0.995 0.215
O 0.887 0.242 0.880
O 0.887 0.258 0.380

Summary:
Crystal system: monoclinic
Space-group type: P2_1/c

***

Record 6
## CdSO4 (PBE)

Data for a relaxed CdSO4 crystal.

Lattice parameters (Å, degrees): 6.514 6.514 7.476 94.17 94.17 50.86
Fractional positions:
Cd 0.000 0.000 0.000
Cd 0.000 0.000 0.500
S 0.251 0.251 0.767
S 0.749 0.749 0.233
O 0.011 0.568 0.312
O 0.058 0.058 0.256
O 0.330 0.330 0.924
O 0.432 0.989 0.688
O 0.568 0.011 0.312
O 0.670 0.670 0.076
O 0.942 0.942 0.744
O 0.989 0.432 0.688

Summary:
Crystal system: monoclinic
Space-group type: C2/m

***

For reference, energy relative to the elements by record: -2.95 -1.76 -1.41 -1.09 -1.27 -1.25 eV/atom.